VASP calculation (PBE-GGA) on an optimized crystal structure of Y2Bi2O7.

Cell: 7.7340 7.7340 7.7340 Å, 60.00 60.00 60.00°
Positions (direct):
Y: 0.6250 0.1250 0.6250
Y: 0.6250 0.6250 0.1250
Y: 0.1250 0.6250 0.6250
Y: 0.6250 0.6250 0.6250
Bi: 0.1250 0.1250 0.1250
Bi: 0.6250 0.1250 0.1250
Bi: 0.1250 0.1250 0.6250
Bi: 0.1250 0.6250 0.1250
O: 0.7721 0.2279 0.2279
O: 0.0221 0.4779 0.4779
O: 0.2279 0.2279 0.7721
O: 0.7721 0.7721 0.2279
O: 0.5000 0.5000 0.5000
O: 0.7721 0.2279 0.7721
O: 0.2279 0.7721 0.2279
O: 0.4779 0.0221 0.4779
O: 0.0221 0.0221 0.4779
O: 0.4779 0.4779 0.0221
O: 0.7500 0.7500 0.7500
O: 0.0221 0.4779 0.0221
O: 0.2279 0.7721 0.7721
O: 0.4779 0.0221 0.0221

energy of formation: -2.525 eV/atom
volume: 327.1 Å³ per cell
crystal system: cubic
size of the total moment: 0.850 μB per cell
energy with MP2020 corrections: -166.24 eV for the cell shown

VASP calculation (PBE-GGA) on an optimized crystal structure of YBi3O6.

Cell: 7.0150 7.0150 7.0150 Å, 92.78 92.78 92.78°
Positions (direct):
Y: 0.0000 0.0000 0.0000
Y: 0.5000 0.5000 0.5000
Bi: 0.9315 0.4472 0.7492
Bi: 0.7492 0.9315 0.4472
Bi: 0.5528 0.2508 0.0685
Bi: 0.4472 0.7492 0.9315
Bi: 0.2508 0.0685 0.5528
Bi: 0.0685 0.5528 0.2508
O: 0.9264 0.3090 0.0747
O: 0.9253 0.0736 0.6910
O: 0.8123 0.6001 0.4742
O: 0.6910 0.9253 0.0736
O: 0.6001 0.4742 0.8123
O: 0.5258 0.1877 0.3999
O: 0.4742 0.8123 0.6001
O: 0.3999 0.5258 0.1877
O: 0.3090 0.0747 0.9264
O: 0.1877 0.3999 0.5258
O: 0.0747 0.9264 0.3090
O: 0.0736 0.6910 0.9253

energy of formation: -2.180 eV/atom
volume: 344.0 Å³ per cell
crystal system: trigonal
size of the total moment: 0.000 μB per cell
energy with MP2020 corrections: -139.24 eV for the cell shown

VASP calculation (PBE-GGA) on an optimized crystal structure of Y2Bi2O7.

Cell: 6.0551 6.0551 5.8812 Å, 84.21 84.21 106.13°
Positions (direct):
Y: 0.3075 0.6925 0.0000
Y: 0.6925 0.3075 0.0000
Bi: 0.7411 0.7411 0.3936
Bi: 0.2589 0.2589 0.6064
O: 0.9455 0.5863 0.1824
O: 0.5863 0.9455 0.1824
O: 0.5426 0.5426 0.7449
O: 0.0000 0.0000 0.5000
O: 0.4574 0.4574 0.2551
O: 0.0545 0.4137 0.8176
O: 0.4137 0.0545 0.8176

energy of formation: -2.523 eV/atom
volume: 204.2 Å³ per cell
crystal system: monoclinic
size of the total moment: 0.001 μB per cell
energy with MP2020 corrections: -83.10 eV for the cell shown

VASP calculation (PBE-GGA) on an optimized crystal structure of Y2Bi2O7.

Cell: 5.7618 8.2347 14.0207 Å, 80.70 90.00 90.00°
Positions (direct):
Y: 0.3099 0.8664 0.5574
Y: 0.7765 0.7522 0.9321
Y: 0.2395 0.7061 0.1316
Y: 0.7857 0.6362 0.3882
Y: 0.2857 0.3638 0.6118
Y: 0.7395 0.2939 0.8684
Y: 0.2765 0.2478 0.0679
Y: 0.8099 0.1336 0.4426
Bi: 0.2616 0.9216 0.3177
Bi: 0.7608 0.9766 0.1176
Bi: 0.7792 0.5929 0.6692
Bi: 0.2628 0.5412 0.8688
Bi: 0.7628 0.4588 0.1312
Bi: 0.2792 0.4071 0.3308
Bi: 0.2608 0.0234 0.8824
Bi: 0.7616 0.0784 0.6823
O: 0.5480 0.9325 0.4170
O: 0.3851 0.0109 0.1757
O: 0.6356 0.8396 0.6529
O: 0.4237 0.7834 0.8708
O: 0.0474 0.8324 0.4400
O: 0.0494 0.9020 0.0221
O: 0.9673 0.8389 0.2450
O: 0.1271 0.6363 0.6274
O: 0.8699 0.5859 0.8220
O: 0.6002 0.7297 0.0779
O: 0.4296 0.6761 0.3017
O: 0.5861 0.5789 0.5390
O: 0.5575 0.4334 0.9777
O: 0.4896 0.4673 0.7412
O: 0.9896 0.5327 0.2588
O: 0.0575 0.5666 0.0223
O: 0.0861 0.4211 0.4610
O: 0.9296 0.3239 0.6983
O: 0.1002 0.2703 0.9221
O: 0.3699 0.4141 0.1780
O: 0.6271 0.3637 0.3726
O: 0.4673 0.1611 0.7550
O: 0.5494 0.0980 0.9779
O: 0.5474 0.1676 0.5600
O: 0.9237 0.2166 0.1292
O: 0.1356 0.1604 0.3471
O: 0.8851 0.9891 0.8243
O: 0.0480 0.0675 0.5830

energy of formation: -2.538 eV/atom
volume: 656.5 Å³ per cell
crystal system: monoclinic
size of the total moment: 0.002 μB per cell
energy with MP2020 corrections: -333.06 eV for the cell shown

VASP calculation (PBE-GGA) on an optimized crystal structure of Zn2Bi2O5.

Cell: 3.5312 7.0615 12.4700 Å, 92.18 92.34 90.47°
Positions (direct):
Zn: 0.5003 0.3752 0.0938
Zn: 0.4895 0.6164 0.8835
Zn: 0.4885 0.8780 0.3866
Zn: 0.5122 0.1193 0.6021
Bi: 0.9886 0.3188 0.3768
Bi: 0.0127 0.7265 0.6309
Bi: 0.9836 0.1169 0.8900
Bi: 0.0145 0.7722 0.1361
O: 0.0032 0.4816 0.5163
O: 0.0217 0.0734 0.6649
O: 0.9816 0.6962 0.8316
O: 0.0119 0.4354 0.1633
O: 0.4867 0.3126 0.9228
O: 0.5077 0.6667 0.0429
O: 0.9775 0.8631 0.3237
O: 0.4926 0.1684 0.4396
O: 0.0195 0.0505 0.0499
O: 0.5075 0.8287 0.5451

energy of formation: -1.478 eV/atom
volume: 310.4 Å³ per cell
crystal system: triclinic
size of the total moment: 0.000 μB per cell
energy with MP2020 corrections: -96.69 eV for the cell shown

VASP calculation (PBE-GGA) on an optimized crystal structure of ZnBi38O60.

Cell: 8.9959 8.9959 53.9175 Å, 109.48 109.43 109.55°
Positions (direct):
Zn: 0.0002 0.0008 0.0006
Zn: 0.9971 0.9964 0.1660
Bi: 0.1827 0.8673 0.9514
Bi: 0.1436 0.3300 0.9736
Bi: 0.1761 0.5192 0.8874
Bi: 0.1971 0.8577 0.7833
Bi: 0.3505 0.8394 0.8594
Bi: 0.5067 0.6797 0.9694
Bi: 0.1449 0.3441 0.8078
Bi: 0.3203 0.1714 0.9193
Bi: 0.6916 0.8209 0.9216
Bi: 0.1625 0.4993 0.7179
Bi: 0.1918 0.8563 0.6154
Bi: 0.5077 0.3088 0.8618
Bi: 0.3360 0.8368 0.6907
Bi: 0.4990 0.6608 0.8012
Bi: 0.7019 0.1837 0.9788
Bi: 0.1433 0.3363 0.6394
Bi: 0.8187 0.5195 0.9490
Bi: 0.3071 0.1624 0.7502
Bi: 0.6612 0.8052 0.7501
Bi: 0.1641 0.4996 0.5513
Bi: 0.8551 0.6993 0.8663
Bi: 0.0026 0.0020 0.8341
Bi: 0.1916 0.8548 0.4487
Bi: 0.4988 0.3065 0.6937
Bi: 0.3356 0.8363 0.5239
Bi: 0.6962 0.1955 0.8095
Bi: 0.8428 0.1559 0.8917
Bi: 0.5007 0.6653 0.6348
Bi: 0.1442 0.3366 0.4730
Bi: 0.3073 0.1642 0.5833
Bi: 0.8060 0.5002 0.7769
Bi: 0.6644 0.8075 0.5834
Bi: 0.1579 0.4974 0.3834
Bi: 0.8566 0.6919 0.6987
Bi: 0.1946 0.8515 0.2792
Bi: 0.4997 0.3067 0.5272
Bi: 0.3388 0.8395 0.3572
Bi: 0.6926 0.1919 0.6427
Bi: 0.8380 0.1440 0.7232
Bi: 0.4996 0.6644 0.4680
Bi: 0.1382 0.3372 0.3049
Bi: 0.3049 0.1609 0.4166
Bi: 0.8076 0.5003 0.6107
Bi: 0.8566 0.6920 0.5319
Bi: 0.6614 0.8062 0.4165
Bi: 0.1590 0.4745 0.2153
Bi: 0.0000 0.0002 0.6666
Bi: 0.0008 0.0006 0.5001
Bi: 0.1848 0.8630 0.1153
Bi: 0.4974 0.2982 0.3589
Bi: 0.3110 0.8293 0.1879
Bi: 0.8361 0.1434 0.5560
Bi: 0.6927 0.1919 0.4760
Bi: 0.5015 0.6573 0.3004
Bi: 0.1359 0.3217 0.1379
Bi: 0.2913 0.1620 0.2451
Bi: 0.8049 0.4990 0.4435
Bi: 0.8534 0.6916 0.3654
Bi: 0.6555 0.8044 0.2473
Bi: 0.1712 0.4930 0.0514
Bi: 0.4887 0.3022 0.1931
Bi: 0.3261 0.8307 0.0234
Bi: 0.5082 0.6773 0.1356
Bi: 0.8390 0.1448 0.3898
Bi: 0.6829 0.1939 0.3072
Bi: 0.3032 0.1692 0.0814
Bi: 0.8056 0.4926 0.2750
Bi: 0.6809 0.8149 0.0853
Bi: 0.8635 0.6904 0.1973
Bi: 0.9976 0.9981 0.3326
Bi: 0.4946 0.3088 0.0288
Bi: 0.8255 0.1246 0.2177
Bi: 0.6902 0.1856 0.1433
Bi: 0.8138 0.5079 0.1129
Bi: 0.8639 0.6947 0.0311
Bi: 0.8307 0.1366 0.0538
O: 0.2407 0.6177 0.9805
O: 0.1147 0.7410 0.8925
O: 0.3739 0.7553 0.9393
O: 0.2650 0.3802 0.9374
O: 0.3715 0.9997 0.8330
O: 0.2444 0.6256 0.8144
O: 0.3551 0.1187 0.9572
O: 0.2312 0.2301 0.8710
O: 0.3780 0.6284 0.8767
O: 0.1167 0.7378 0.7260
O: 0.6220 0.6214 0.9372
O: 0.3796 0.7549 0.7733
O: 0.6272 0.8868 0.8728
O: 0.6369 0.3753 0.9599
O: 0.2612 0.3774 0.7697
O: 0.3553 0.1157 0.7894
O: 0.2440 0.6235 0.6473
O: 0.6268 0.2594 0.8965
O: 0.9953 0.9904 0.9614
O: 0.2383 0.2390 0.7059
O: 0.0019 0.7632 0.5005
O: 0.3762 0.6205 0.7101
O: 0.1164 0.7394 0.5602
O: 0.7614 0.6428 0.8971
O: 0.7682 0.9968 0.8317
O: 0.6269 0.6266 0.7711
O: 0.0005 0.0008 0.8946
O: 0.6222 0.8832 0.7072
O: 0.3785 0.7555 0.6065
O: 0.7393 0.3565 0.8525
O: 0.6382 0.3793 0.7922
O: 0.8840 0.2359 0.9375
O: 0.2608 0.3773 0.6036
O: 0.3698 0.9995 0.6665
O: 0.3701 0.9997 0.5000
O: 0.3609 0.1167 0.6233
O: 0.6202 0.2598 0.7292
O: 0.2441 0.6236 0.4806
O: 0.9945 0.7675 0.8321
O: 0.9976 0.9967 0.7952
O: 0.2390 0.2395 0.5399
O: 0.7556 0.6397 0.7298
O: 0.3770 0.6212 0.5434
O: 0.1153 0.7399 0.3934
O: 0.9973 0.3718 0.8331
O: 0.6300 0.6300 0.6051
O: 0.7397 0.3602 0.6860
O: 0.6230 0.8833 0.5407
O: 0.3818 0.7607 0.4407
O: 0.8849 0.2431 0.7705
O: 0.6392 0.3789 0.6260
O: 0.2607 0.3766 0.4368
O: 0.3602 0.1159 0.4566
O: 0.2416 0.6244 0.3142
O: 0.6212 0.2603 0.5628
O: 0.2256 0.2265 0.3715
O: 0.0004 0.9999 0.6268
O: 0.0001 0.7615 0.6666
O: 0.7556 0.6391 0.5631
O: 0.3793 0.6189 0.3773
O: 0.1193 0.7379 0.2273
O: 0.7602 0.9989 0.6662
O: 0.7621 0.0007 0.5001
O: 0.9990 0.9987 0.7282
O: 0.6292 0.6296 0.4384
O: 0.9995 0.3699 0.6666
O: 0.9996 0.9997 0.5616
O: 0.7398 0.3603 0.5194
O: 0.3862 0.7599 0.2742
O: 0.6258 0.8847 0.3744
O: 0.6402 0.3792 0.4595
O: 0.8835 0.2443 0.6039
O: 0.2603 0.3789 0.2696
O: 0.3730 0.9984 0.3335
O: 0.3685 0.1180 0.2900
O: 0.2382 0.6165 0.1466
O: 0.6199 0.2617 0.3961
O: 0.2222 0.2271 0.2053
O: 0.9924 0.7673 0.9991
O: 0.7589 0.6428 0.3969
O: 0.3752 0.6116 0.2094
O: 0.1180 0.7358 0.0599
O: 0.6331 0.6327 0.2720
O: 0.0004 0.3706 0.5001
O: 0.7391 0.3579 0.3522
O: 0.6159 0.8775 0.2068
O: 0.3764 0.7587 0.1068
O: 0.6499 0.3903 0.2938
O: 0.8846 0.2450 0.4375
O: 0.2642 0.3822 0.1039
O: 0.3767 0.9992 0.1664
O: 0.3600 0.1184 0.1228
O: 0.6111 0.2592 0.2292
O: 0.0035 0.0028 0.4608
O: 0.0038 0.0049 0.2956
O: 0.0068 0.7782 0.3350
O: 0.2262 0.2272 0.0381
O: 0.7557 0.6404 0.2292
O: 0.3816 0.6232 0.0439
O: 0.7752 0.0021 0.3346
O: 0.9999 0.0003 0.3956
O: 0.0015 0.3733 0.3336
O: 0.9981 0.9986 0.2294
O: 0.6237 0.6237 0.1040
O: 0.7349 0.3579 0.1862
O: 0.6163 0.8817 0.0397
O: 0.8803 0.2477 0.2701
O: 0.6437 0.3782 0.1270
O: 0.3774 0.9999 0.0002
O: 0.6233 0.2648 0.0639
O: 0.9987 0.9977 0.1286
O: 0.0057 0.7747 0.1675
O: 0.7589 0.6410 0.0628
O: 0.7730 0.9980 0.1676
O: 0.9996 0.9996 0.0627
O: 0.9985 0.3760 0.1664
O: 0.7372 0.3588 0.0201
O: 0.8814 0.2398 0.1028
O: 0.7696 0.0006 0.9991
O: 0.0006 0.3780 0.0002

energy of formation: -1.588 eV/atom
volume: 3357.1 Å³ per cell
crystal system: monoclinic
size of the total moment: 0.429 μB per cell
energy with MP2020 corrections: -1206.41 eV for the cell shown

VASP calculation (PBE-GGA) on an optimized crystal structure of ZnBi2O5.

Cell: 3.6839 5.2981 13.2565 Å, 94.56 97.23 89.96°
Positions (direct):
Zn: 0.4618 0.8707 0.7308
Zn: 0.9348 0.1077 0.2383
Bi: 0.8107 0.3703 0.8785
Bi: 0.3994 0.5865 0.1168
Bi: 0.0948 0.6477 0.3976
Bi: 0.7225 0.3058 0.5877
O: 0.9991 0.4971 0.2420
O: 0.6715 0.5265 0.7326
O: 0.3189 0.5761 0.9157
O: 0.8786 0.3911 0.0427
O: 0.1663 0.5650 0.5562
O: 0.5958 0.4626 0.4060
O: 0.9797 0.0327 0.6900
O: 0.9993 0.0232 0.3921
O: 0.4139 0.9952 0.1886
O: 0.5243 0.0389 0.8696

energy of formation: -1.329 eV/atom
volume: 255.9 Å³ per cell
crystal system: triclinic
size of the total moment: 0.002 μB per cell
energy with MP2020 corrections: -88.83 eV for the cell shown